No. 1
This record from Materials Project describes a geometry-optimized BaDy2S4 structure. The functional is PBE.

* total energy after the MP2020 corrections: -6.378 eV per atom
* crystal system: orthorhombic

Cell: 4.0637 12.3461 14.5891 Å, 90.00 90.00 90.00°
Atoms (fractional coordinates):
Ba  0.2500  0.7590  0.3372
Ba  0.2500  0.2590  0.1628
Ba  0.7500  0.2410  0.6628
Ba  0.7500  0.7410  0.8372
Dy  0.2500  0.4353  0.3909
Dy  0.2500  0.9353  0.1091
Dy  0.7500  0.5647  0.6091
Dy  0.7500  0.0647  0.8909
Dy  0.2500  0.4195  0.8990
Dy  0.2500  0.9195  0.6010
Dy  0.7500  0.5805  0.1010
Dy  0.7500  0.0805  0.3990
S  0.2500  0.2053  0.8374
S  0.2500  0.7053  0.6626
S  0.7500  0.7947  0.1626
S  0.7500  0.2947  0.3374
S  0.2500  0.1228  0.5243
S  0.2500  0.6228  0.9757
S  0.7500  0.8772  0.4757
S  0.7500  0.3772  0.0243
S  0.2500  0.5251  0.2165
S  0.2500  0.0251  0.2835
S  0.7500  0.4749  0.7835
S  0.7500  0.9749  0.7165
S  0.2500  0.4181  0.5763
S  0.2500  0.9181  0.9237
S  0.7500  0.5819  0.4237
S  0.7500  0.0819  0.0763

No. 2
This record from Materials Project describes a geometry-optimized BaDy2Se4 structure. The functional is PBE.

* total energy after the MP2020 corrections: -5.831 eV per atom
* crystal system: orthorhombic

Cell: 4.2178 12.8832 15.1862 Å, 90.00 90.00 90.00°
Atoms (fractional coordinates):
Ba  0.2500  0.7565  0.3371
Ba  0.2500  0.2565  0.1629
Ba  0.7500  0.2435  0.6629
Ba  0.7500  0.7435  0.8371
Dy  0.2500  0.4337  0.3903
Dy  0.2500  0.9337  0.1097
Dy  0.7500  0.5663  0.6097
Dy  0.7500  0.0663  0.8903
Dy  0.2500  0.4206  0.9002
Dy  0.2500  0.9206  0.5998
Dy  0.7500  0.5794  0.0998
Dy  0.7500  0.0794  0.4002
Se  0.2500  0.2070  0.8338
Se  0.2500  0.7070  0.6662
Se  0.7500  0.7930  0.1662
Se  0.7500  0.2930  0.3338
Se  0.2500  0.1262  0.5248
Se  0.2500  0.6262  0.9752
Se  0.7500  0.8738  0.4752
Se  0.7500  0.3738  0.0248
Se  0.2500  0.5241  0.2164
Se  0.2500  0.0241  0.2836
Se  0.7500  0.4759  0.7836
Se  0.7500  0.9759  0.7164
Se  0.2500  0.4180  0.5768
Se  0.2500  0.9180  0.9232
Se  0.7500  0.5820  0.4232
Se  0.7500  0.0820  0.0768

No. 3
This record from Materials Project describes a geometry-optimized BaDy2Te4 structure. The functional is PBE.

* total energy after the MP2020 corrections: -5.169 eV per atom
* crystal system: orthorhombic

Cell: 4.4887 13.8222 16.3153 Å, 90.00 90.00 90.00°
Atoms (fractional coordinates):
Ba  0.7500  0.2612  0.8305
Ba  0.2500  0.7388  0.1695
Ba  0.7500  0.7612  0.6695
Ba  0.2500  0.2388  0.3305
Dy  0.2500  0.0806  0.5965
Dy  0.7500  0.9194  0.4035
Dy  0.2500  0.5806  0.9035
Dy  0.7500  0.4194  0.0965
Dy  0.7500  0.9405  0.8904
Dy  0.2500  0.0595  0.1096
Dy  0.7500  0.4405  0.6096
Dy  0.2500  0.5595  0.3904
Te  0.2500  0.4728  0.2159
Te  0.7500  0.5272  0.7841
Te  0.2500  0.9728  0.2841
Te  0.7500  0.0272  0.7159
Te  0.2500  0.3727  0.9715
Te  0.7500  0.6273  0.0285
Te  0.2500  0.8727  0.5285
Te  0.7500  0.1273  0.4715
Te  0.2500  0.2950  0.6608
Te  0.7500  0.7050  0.3392
Te  0.2500  0.7950  0.8392
Te  0.7500  0.2050  0.1608
Te  0.7500  0.4102  0.4236
Te  0.2500  0.5898  0.5764
Te  0.7500  0.9102  0.0764
Te  0.2500  0.0898  0.9236

No. 4
This record from Materials Project describes a geometry-optimized Ba3Er structure. The functional is PBE.

* energy above the lowest structure with this stoichiometry: 0.000 eV per atom
* crystal system: hexagonal
* total moment: 0.145 μB/f.u.

Cell: 8.4200 8.4200 6.7272 Å, 90.00 90.00 120.00°
Atoms (fractional coordinates):
Ba  0.1722  0.3444  0.2500
Ba  0.6556  0.8278  0.2500
Ba  0.1722  0.8278  0.2500
Ba  0.8278  0.6556  0.7500
Ba  0.3444  0.1722  0.7500
Ba  0.8278  0.1722  0.7500
Er  0.3333  0.6667  0.7500
Er  0.6667  0.3333  0.2500

No. 5
This record from Materials Project describes a geometry-optimized Ba3Er structure. The functional is PBE.

* energy above the lowest structure with this stoichiometry: 0.017 eV per atom
* crystal system: tetragonal
* total moment: 0.007 μB/f.u.

Cell: 7.2181 7.2181 7.2181 Å, 131.97 131.97 70.28°
Atoms (fractional coordinates):
Ba  0.7500  0.2500  0.5000
Ba  0.2500  0.7500  0.5000
Ba  0.5000  0.5000  0.0000
Er  0.0000  0.0000  0.0000

No. 6
This record from Materials Project describes a geometry-optimized BaEr2F8 structure. The functional is PBE.

* total energy after the MP2020 corrections: -6.816 eV per atom
* crystal system: monoclinic

Cell: 6.3311 6.3311 4.2923 Å, 84.97 84.97 112.86°
Atoms (fractional coordinates):
Ba  0.0000  0.0000  0.0000
Er  0.3243  0.6757  0.5000
Er  0.6757  0.3243  0.5000
F  0.7379  0.2621  0.0000
F  0.2621  0.7379  0.0000
F  0.6064  0.6064  0.2285
F  0.0457  0.3288  0.4383
F  0.6712  0.9543  0.5617
F  0.9543  0.6712  0.5617
F  0.3288  0.0457  0.4383
F  0.3936  0.3936  0.7715

No. 7
This record from Materials Project describes a geometry-optimized Ba6Er2Ga4O15 structure. The functional is PBE.

* total energy after the MP2020 corrections: -6.971 eV per atom
* crystal system: monoclinic
* total moment: 0.000 μB/f.u.

Cell: 6.0248 8.0324 18.6305 Å, 88.69 90.00 90.00°
Atoms (fractional coordinates):
Ba  0.7481  0.9734  0.0895
Ba  0.7550  0.5011  0.4214
Ba  0.2450  0.4989  0.5786
Ba  0.2519  0.0266  0.9105
Ba  0.3295  0.5000  0.2500
Ba  0.7550  0.4989  0.0786
Ba  0.7245  0.0000  0.7500
Ba  0.2755  0.0000  0.2500
Ba  0.2450  0.5011  0.9214
Ba  0.6705  0.5000  0.7500
Ba  0.2519  0.9734  0.5895
Ba  0.7481  0.0266  0.4105
Er  0.7466  0.7525  0.9103
Er  0.7466  0.2475  0.5897
Er  0.2534  0.2475  0.0897
Er  0.2534  0.7525  0.4103
Ga  0.2519  0.2459  0.4421
Ga  0.7734  0.2300  0.2330
Ga  0.7734  0.7700  0.2670
Ga  0.2519  0.7541  0.0579
Ga  0.7481  0.2459  0.9421
Ga  0.2266  0.7700  0.7670
Ga  0.2266  0.2300  0.7330
Ga  0.7481  0.7541  0.5579
O  0.2450  0.4687  0.4094
O  0.5091  0.2342  0.4996
O  0.9572  0.7253  0.8113
O  0.0090  0.7655  0.9927
O  0.7993  0.0000  0.2500
O  0.3286  0.3125  0.8171
O  0.0428  0.7253  0.3113
O  0.5461  0.2487  0.1633
O  0.5461  0.7513  0.3367
O  0.3286  0.6875  0.6829
O  0.4909  0.2342  0.9996
O  0.2373  0.0456  0.3924
O  0.9572  0.2747  0.6887
O  0.4539  0.2487  0.6633
O  0.6714  0.3125  0.3171
O  0.2007  0.0000  0.7500
O  0.7627  0.9544  0.6076
O  0.7550  0.5313  0.5906
O  0.9910  0.2345  0.0073
O  0.7550  0.4687  0.9094
O  0.2373  0.9544  0.1076
O  0.7627  0.0456  0.8924
O  0.5091  0.7658  0.0004
O  0.4539  0.7513  0.8367
O  0.0090  0.2345  0.5073
O  0.6714  0.6875  0.1829
O  0.0428  0.2747  0.1887
O  0.9910  0.7655  0.4927
O  0.2450  0.5313  0.0906
O  0.4909  0.7658  0.5004

No. 8
This record from Materials Project describes a geometry-optimized Ba2ErInSe5 structure. The functional is PBE.

* total energy after the MP2020 corrections: -5.058 eV per atom
* crystal system: orthorhombic
* total moment: 0.000 μB/f.u.

Cell: 9.7532 9.7532 13.4922 Å, 90.00 90.00 154.56°
Atoms (fractional coordinates):
Ba  0.8671  0.1329  0.1868
Ba  0.1329  0.8671  0.6868
Ba  0.8825  0.1175  0.8189
Ba  0.1175  0.8825  0.3189
Er  0.7884  0.2116  0.4819
Er  0.2116  0.7884  0.9819
In  0.5525  0.4475  0.0628
In  0.4475  0.5525  0.5628
Se  0.6448  0.3552  0.4998
Se  0.3552  0.6448  0.9998
Se  0.7092  0.2908  0.8446
Se  0.2908  0.7092  0.3446
Se  0.6875  0.3125  0.1284
Se  0.3125  0.6875  0.6284
Se  0.4952  0.5048  0.2337
Se  0.5048  0.4952  0.7337
Se  0.9483  0.0517  0.4492
Se  0.0517  0.9483  0.9492

No. 9
This record from Materials Project describes a geometry-optimized Ba2ErMgRuO6 structure. The functional is PBE.

* total energy after the MP2020 corrections: -6.920 eV per atom
* energy above the lowest structure with this stoichiometry: 0.064 eV per atom
* crystal system: monoclinic
* total moment: 1.000 μB/f.u.

Cell: 5.9650 5.9584 6.4955 Å, 62.70 63.27 60.04°
Atoms (fractional coordinates):
Ba  0.8064  0.8069  0.5797
Ba  0.2564  0.2617  0.2201
Er  0.4674  0.4695  0.5936
Mg  0.6287  0.6389  0.0934
Ru  0.9973  0.9968  0.0091
O  0.2322  0.7460  0.7956
O  0.2517  0.7454  0.2576
O  0.7514  0.2289  0.7909
O  0.2322  0.2262  0.7956
O  0.7454  0.2561  0.2499
O  0.7454  0.7486  0.2499

No. 10
This record from Materials Project describes a geometry-optimized Ba2ErMgRuO6 structure. The functional is PBE.

* total energy after the MP2020 corrections: -6.984 eV per atom
* energy above the lowest structure with this stoichiometry: 0.000 eV per atom
* crystal system: orthorhombic
* total moment: 1.000 μB/f.u.

Cell: 6.0861 6.2670 6.2670 Å, 56.13 60.95 60.95°
Atoms (fractional coordinates):
Ba  0.8095  0.6905  0.6905
Ba  0.1905  0.3095  0.3095
Er  0.5000  0.5000  0.5000
Mg  0.5000  0.0000  0.0000
Ru  0.0000  0.0000  0.0000
O  0.2374  0.7626  0.7626
O  0.2576  0.7690  0.2310
O  0.7424  0.2310  0.7690
O  0.2576  0.2310  0.7690
O  0.7626  0.2374  0.2374
O  0.7424  0.7690  0.2310

No. 11
This record from Materials Project describes a geometry-optimized Ba3Er4O9 structure. The functional is PBE.

* total energy after the MP2020 corrections: -7.886 eV per atom
* crystal system: trigonal

Cell: 9.1686 9.1686 9.1686 Å, 38.88 38.88 38.88°
Atoms (fractional coordinates):
Ba  0.9999  0.9999  0.9999
Ba  0.8348  0.8348  0.8348
Ba  0.4216  0.4216  0.4216
Er  0.5738  0.5738  0.5738
Er  0.1352  0.1352  0.1352
Er  0.2606  0.2606  0.2606
Er  0.6988  0.6988  0.6988
O  0.4219  0.9576  0.5377
O  0.9576  0.5377  0.4219
O  0.5377  0.4219  0.9576
O  0.3051  0.8723  0.4031
O  0.8723  0.4031  0.3051
O  0.4031  0.3051  0.8723
O  0.4183  0.8600  0.9732
O  0.9732  0.4183  0.8600
O  0.8600  0.9732  0.4183

No. 12
This record from Materials Project describes a geometry-optimized BaErO3 structure. The functional is PBE.

* total energy after the MP2020 corrections: -7.431 eV per atom
* crystal system: cubic
* total moment: 1.000 μB/f.u.

Cell: 4.3955 4.3955 4.3955 Å, 90.00 90.00 90.00°
Atoms (fractional coordinates):
Ba  0.0000  0.0000  0.0000
Er  0.5000  0.5000  0.5000
O  0.5000  0.5000  0.0000
O  0.5000  0.0000  0.5000
O  0.0000  0.5000  0.5000